# Nd2TlAg

An optimized crystal structure of Nd2TlAg (PBE, the Materials Project database).

POSCAR file:
```
Nd2TlAg
1.0
0.0000 3.8489 3.8489
3.8489 0.0000 3.8489
3.8489 3.8489 0.0000
Nd Tl Ag
2 1 1
direct
0.2500 0.2500 0.2500
0.7500 0.7500 0.7500
0.0000 0.0000 0.0000
0.5000 0.5000 0.5000
```

Values from the calculation:
The space-group type is Fm-3m, No. 225. As for the theoretical density: 8.75 g/cm³. The calculation puts the total energy at -4.008 eV/atom.